Material: Mg3Fe3P4O16
Method: DFT, GGA+U
State: relaxed

The structure in POSCAR format:
```
Mg3Fe3P4O16
1.0
-2.898 4.252 0.567
-3.948 -2.576 -6.152
-5.232 -4.227 5.110
Mg O P Fe
3 16 4 3
Direct
0.000 0.501 0.501 Mg
0.410 0.889 0.646 Mg
0.502 0.999 0.999 Mg
0.299 0.121 0.192 O
0.817 0.064 0.138 O
0.800 0.624 0.309 O
0.702 0.878 0.802 O
0.189 0.935 0.855 O
0.952 0.644 0.921 O
0.058 0.740 0.638 O
0.200 0.379 0.692 O
0.049 0.359 0.079 O
0.448 0.139 0.581 O
0.682 0.434 0.637 O
0.543 0.855 0.428 O
0.949 0.257 0.361 O
0.317 0.562 0.361 O
0.549 0.243 0.862 O
0.450 0.761 0.142 O
0.968 0.800 0.804 P
0.532 0.701 0.311 P
0.032 0.200 0.192 P
0.466 0.299 0.692 P
0.585 0.115 0.354 Fe
0.912 0.384 0.854 Fe
0.086 0.619 0.147 Fe
```

Values from the calculation:
The electronic total energy comes out at -7.036 eV/atom. As for the calculated formation energy: -2.679 eV/atom.

Material: MgFePbO3
Method: DFT, GGA+U
State: relaxed

The structure in POSCAR format:
```
MgFePbO3
1.0
3.936 0.002 0.000
0.002 6.042 -0.002
0.000 -0.001 3.937
Mg O Pb Fe
1 3 1 1
Direct
0.000 0.500 0.000 Mg
0.000 0.500 0.500 O
0.500 0.000 0.500 O
0.500 0.500 0.000 O
0.000 0.000 0.000 Pb
0.500 0.500 0.500 Fe
```

Values from the calculation:
The electronic total energy comes out at -5.412 eV/atom. The value obtained for the polymorph energy (0 for the lowest one) is 20.45 kJ/mol of atoms. As for the calculated formation energy: -1.361 eV/atom.

no.,magnetization (μB/f.u.)
1,12.0
2,4.0